Entry 1:
Na2Zr4Si5Sn4S7O48 (PBE, optimized geometry); energy with MP2020 corrections = -1563.74 eV for the cell shown; energy of formation from the pure elements = -2497 meV per atom; E = -1464.81 eV for the cell shown; total magnetization = 0.0 μB/f.u.
1.0
8.9282 0.0000 0.0000
0.0453 15.4543 0.0000
0.0005 0.2411 23.3521
Na Zr Si Sn S O
6 12 15 12 21 144
Cartesian
0.0000 0.0000 0.0000
0.0418 5.4458 15.3053
0.1228 0.1325 11.4828
4.4623 7.9388 23.1918
4.5954 13.0460 3.7767
4.6153 7.7440 11.5816
0.0674 5.3321 12.0112
0.1036 5.3853 18.8783
0.1694 15.4674 8.2145
0.2255 10.6567 22.6960
4.3992 2.9016 10.9396
4.4297 12.9075 0.4524
4.4365 7.8382 19.8686
4.5114 12.9768 7.2388
4.6721 7.6520 3.3497
4.6862 7.7968 14.8867
8.8504 15.4344 3.2669
8.8698 15.5133 14.9549
1.2475 3.0733 9.5658
1.3274 12.5518 1.9083
1.9722 12.9211 9.7151
2.6229 5.3155 21.3900
3.1873 4.9344 13.5649
3.3479 10.9187 21.2506
5.7471 0.4399 1.7919
5.8445 5.6547 17.4274
5.8734 4.8597 1.7939
6.2967 0.1973 17.4351
6.4075 5.3437 9.6165
7.2214 7.7896 5.7717
7.6481 12.6851 13.4543
7.6715 13.2787 5.7662
7.7678 8.2591 13.4716
0.0461 10.5170 11.1146
0.0564 10.4421 4.3799
0.0823 5.1956 0.4070
4.5181 13.0587 12.0782
4.5477 13.0689 18.8407
4.5385 2.9458 22.8268
4.5564 2.8412 15.9874
4.6466 7.7680 8.0872
4.6424 2.6543 4.1798
8.8784 10.4895 15.8004
8.8894 5.2246 7.2533
8.9112 0.2426 19.6862
1.3439 8.1154 1.8604
1.3791 13.3645 17.3990
1.3588 2.4316 17.3859
1.4027 7.5877 9.5809
1.9097 8.0244 17.3607
1.9373 2.6383 1.8536
2.6530 10.4935 13.5299
2.6610 0.1682 5.6812
3.2241 15.4129 21.2565
3.2004 5.5074 5.7302
3.2477 10.0128 5.7394
3.2342 0.5074 13.5364
5.8180 10.7371 9.6389
5.8365 15.2425 9.6561
5.8533 10.1898 17.4171
6.4270 10.3360 1.8281
7.0933 2.7382 13.5088
7.1407 13.1614 21.2851
7.6733 2.3447 5.7287
7.6979 7.6424 21.3277
7.6918 3.1172 21.3045
0.5732 1.5939 9.3896
0.6421 3.7700 10.8969
0.6785 11.8754 0.5620
0.7395 14.0702 1.9983
0.7280 3.7715 17.5570
0.7371 6.7727 1.6937
0.7324 1.7829 16.2306
0.7456 8.7233 3.0541
0.7607 13.9688 18.6400
0.7788 12.0262 17.2188
0.7998 8.9150 9.7880
0.8160 6.9845 8.3707
1.0413 14.2600 9.5435
1.0333 6.8195 17.5528
1.0567 9.2369 17.2265
1.0797 11.5806 9.8396
1.0812 8.9216 0.6293
1.0688 1.4612 2.0289
1.0959 3.8480 1.6825
1.1275 11.5848 3.1891
1.1428 14.2342 16.2292
1.1302 3.9919 8.2117
1.1416 1.6411 18.6631
1.2363 6.7468 10.7873
1.5821 5.1048 13.4298
1.6947 15.5236 21.0998
1.6749 5.1658 20.0685
1.6805 5.6629 22.6918
1.7267 10.7546 21.4825
1.7541 5.4133 5.8814
1.7511 0.3639 13.7242
1.7993 10.1535 5.6006
1.8347 10.7550 14.7558
1.8452 10.2252 12.3270
1.8713 15.3924 4.4911
1.8551 0.3516 6.9033
2.7167 8.2033 18.5936
2.7429 7.7865 16.1828
2.7355 2.3675 0.6356
2.7604 2.8870 3.0636
2.8021 2.5570 17.2657
2.8189 7.9971 1.9914
2.8389 13.2738 17.5593
2.8425 2.8394 9.7792
2.9167 13.2663 11.0123
2.9024 7.7460 9.4051
2.9206 12.7746 8.3848
2.9547 12.6950 1.7453
3.4203 14.5710 22.4640
3.4296 4.0121 14.8990
3.4622 6.3717 4.5311
3.4773 9.2152 6.9815
3.4998 11.6976 13.3614
3.4945 11.8620 19.9197
3.4744 1.2914 12.3281
3.5095 9.3153 13.7296
3.5112 3.9665 21.5201
3.5163 1.3784 5.5338
3.5790 14.4136 5.8539
3.5630 6.6518 21.2223
3.7654 1.2794 21.4543
3.8137 14.7988 20.0525
3.8235 4.1681 5.5240
3.8401 6.1206 6.9327
3.8479 9.3841 4.5438
3.8653 14.5927 13.4022
3.8297 1.0975 14.7566
3.8480 6.4468 13.7054
3.8705 11.3644 5.8859
3.9067 4.2792 12.2693
3.9714 11.6590 22.5567
3.9811 9.4408 21.0845
5.0602 1.0118 3.1635
5.1372 9.4172 9.4841
5.1443 4.2787 0.4750
5.1677 4.2109 17.2636
5.1828 6.3558 1.9543
5.1708 1.0720 9.8314
5.2108 14.3780 1.6209
5.1999 6.4341 18.7134
5.2239 11.3545 10.8501
5.2594 14.5691 8.4531
5.2473 9.5992 16.2136
5.2714 11.5567 17.5677
5.3470 1.4481 17.1219
5.3805 6.6601 9.5379
5.4502 14.3096 17.6794
5.5048 9.1708 1.9881
5.4997 1.2983 0.4258
5.5083 4.0099 9.7975
5.5708 11.5699 8.4275
5.5900 11.5580 1.6940
5.6001 9.3823 18.6226
5.6182 6.6113 16.1230
5.6239 4.0297 3.1746
5.6690 14.3796 10.8654
6.0428 12.8752 13.2598
6.0427 13.1271 5.9146
6.1246 8.2243 13.5964
6.1751 2.4656 5.5992
6.2077 7.5387 4.4780
6.2398 7.7972 21.1615
6.2344 8.1735 7.0248
6.2407 2.9728 21.4232
6.2909 2.4728 12.3299
6.3276 13.4135 22.4767
6.3046 2.9124 14.7551
6.3495 12.9622 20.0623
7.2301 10.1092 0.6182
7.2181 5.0709 8.2504
7.2328 10.5301 3.0425
7.2197 0.5272 18.7723
7.2712 10.5879 9.7457
7.3032 15.3759 9.4841
7.3202 5.6334 10.9231
7.3439 10.3331 17.2871
7.3665 15.3806 16.1808
7.3832 0.3622 1.9107
7.4710 5.5157 17.6350
7.4853 5.0322 1.5816
7.8866 11.9023 14.8743
7.8835 6.8047 22.5436
7.9191 14.2039 4.4258
7.9137 1.5213 6.9203
7.9656 11.9502 21.4537
7.9456 3.9363 13.4092
7.9606 3.9299 20.0984
8.0084 9.1605 12.1352
8.0122 1.5535 13.6944
8.0673 14.3617 21.1450
8.1282 9.0780 5.4411
8.1522 6.4845 5.9477
8.2454 1.7099 4.5112
8.2792 3.6824 5.8313
8.2902 6.9967 20.1344
8.2959 3.7170 22.5181
8.3288 14.0568 7.0265
8.3164 8.9610 21.5158
8.3481 14.1806 13.6313
8.3669 11.8464 5.5816
8.3564 1.7536 21.1717
8.3635 6.7641 13.3894
8.3957 12.0911 12.1591
8.4308 8.8408 14.8679

=====

Entry 2:
CdBi18O28 (PBE, optimized geometry); energy with MP2020 corrections = -519.32 eV for the cell shown; energy of formation from the pure elements = -1068 meV per atom; E = -510.31 eV for the cell shown; total magnetization = 0.0 μB/f.u.
1.0
8.9521 0.0000 0.0000
-3.0099 8.8429 0.0000
-2.8841 -4.2301 23.1023
Cd Bi O
2 36 56
Cartesian
0.0000 0.0000 0.0000
0.0853 -0.2223 15.3878
-3.3561 4.7798 9.8641
-4.3104 5.4221 13.8782
-2.9034 7.0987 5.6443
-1.5874 6.0391 2.1806
-0.6909 2.0792 9.4833
-0.5720 4.3170 4.8748
-2.5549 2.2757 21.7941
-1.1185 3.1931 13.3299
1.2246 3.3171 1.0582
0.7428 -0.8419 11.8217
-2.1933 5.2808 16.9398
-0.8788 0.6424 18.5833
0.1571 -2.3853 20.7944
1.7139 1.6368 5.3837
2.9061 0.1187 2.1936
-0.6704 7.2409 8.3787
1.3583 7.7809 5.3160
-0.2353 4.3980 20.0492
3.2059 -2.1774 14.1333
2.7540 6.9414 1.2848
1.0757 3.4706 16.6204
2.9461 1.8125 9.7812
1.5670 5.1588 11.4370
3.6164 4.0556 3.6673
2.4296 -0.3810 18.6231
1.5866 1.3616 21.4451
5.1906 2.4041 0.4648
2.8643 2.1829 13.3098
6.3941 -0.8312 8.7056
5.8302 2.1268 6.4282
7.0908 0.4550 3.5084
5.7079 -0.0766 12.1699
5.8163 -2.2100 17.1687
3.7970 3.2030 19.0319
5.0667 2.0117 16.0375
5.3073 -0.9097 20.4385
-2.5233 5.5439 4.2055
-3.5373 1.0481 19.2860
-3.0177 0.8067 17.9238
-3.5012 6.2471 11.3910
-1.3342 0.4720 10.7873
0.2046 -0.2295 4.1247
-1.1934 -2.5937 15.9559
-3.5943 3.8067 17.4746
-1.0469 2.7060 6.2940
-2.5275 5.9741 8.3242
-1.8489 -1.3551 19.0785
-1.6206 3.7481 10.5209
-0.1728 4.5661 2.6098
-2.2133 0.1114 22.3334
-2.2334 4.7126 14.3222
0.9769 0.0896 7.5704
-0.7906 6.9427 6.0597
-2.3802 4.2158 20.5020
0.5561 6.9335 0.8946
-0.3263 2.4146 15.1153
1.5841 1.4293 7.7107
2.0367 -0.0666 10.0650
2.4149 -2.1446 12.0863
2.6379 2.2020 3.0809
-0.6511 3.7284 17.9061
3.1091 2.5994 0.0239
1.3264 -2.4686 18.8616
1.2060 2.7167 10.6815
1.9732 3.8378 5.1816
0.6861 -0.1889 20.2050
2.4657 4.8427 1.9737
-0.4468 2.6203 21.6239
0.5822 4.4794 13.2656
3.7588 0.9799 5.6786
2.2532 -2.5574 21.5385
5.0024 0.4702 1.5751
4.6173 -1.3110 7.5346
1.0617 5.5248 15.9433
1.6547 2.5226 19.6539
3.1751 7.2586 3.4004
4.0777 1.3560 11.6633
5.2033 -1.2186 10.4202
4.9108 4.8366 1.2475
5.1604 -2.1273 13.0762
4.0877 0.6566 14.4016
3.3746 4.0990 12.0618
4.1728 -1.6736 18.7396
3.3585 1.9034 17.3475
3.3257 0.2989 20.5461
5.7571 2.4777 4.0305
6.4222 0.1655 5.6032
2.5597 4.7604 18.1722
3.9390 3.4980 14.7164
6.2919 4.8924 0.6502
6.0908 1.2741 8.4905
7.0389 3.0036 3.4726

=====

Entry 3:
Ba4Zn4B14Pb2O31 (PBE, optimized geometry); energy with MP2020 corrections = -836.46 eV for the cell shown; energy of formation from the pure elements = -2749 meV per atom; E = -793.87 eV for the cell shown; total magnetization = 0.0 μB/f.u.
1.0
3.5621 -6.1847 0.0000
3.5621 6.1847 0.0000
-1.4638 0.0000 32.1027
Ba Zn B Pb O
8 8 28 4 62
Cartesian
2.8302 5.6439 16.0513
0.6840 0.8671 22.5673
1.4159 -0.8671 6.5160
2.9449 1.0896 18.5426
4.3107 2.4430 25.0475
3.6768 -1.0896 2.4913
3.5621 -5.6439 0.0000
5.0426 -2.4430 8.9961
2.9010 5.0644 19.7725
0.8799 0.4318 26.0909
1.6118 -0.4319 10.0396
2.7603 1.4787 15.0210
4.2948 3.0804 21.3526
2.0284 -1.4787 31.0724
3.6329 -5.0644 3.7211
5.0267 -3.0804 5.3012
2.1242 4.8050 22.7709
0.6244 2.8798 31.7799
2.2496 4.8254 25.3826
2.2366 2.8474 2.3063
4.1005 4.4036 3.0739
3.0313 3.6096 31.9227
4.0510 2.2039 6.2678
2.4867 1.2186 31.8271
2.0305 0.0545 28.6468
4.6664 3.0256 9.3259
2.7624 -0.0545 12.5955
4.6065 2.0202 2.7555
1.3563 -2.8798 15.7286
1.5047 -2.8474 18.3576
4.1371 0.6364 9.1878
3.2186 -1.2186 15.7758
3.8187 0.1820 22.0216
3.4053 -0.6364 25.2391
4.5506 -0.1820 5.9703
4.4138 1.0488 28.6705
3.3191 -2.2039 22.3192
3.8746 -2.0202 18.8069
2.8560 -4.8050 6.7195
2.9815 -4.8254 9.3313
5.1457 -1.0488 12.6192
3.7632 -3.6096 15.8714
3.3686 -4.4036 19.1252
3.9345 -3.0256 25.3772
2.9031 4.3225 28.4735
3.9053 3.5523 12.5348
3.1735 -3.5524 28.5861
3.6350 -4.3225 12.4222
2.8142 5.4775 13.1700
0.5062 1.1695 10.3111
2.8605 4.2207 2.5266
1.6758 3.4560 25.6809
0.3158 0.5951 19.5570
1.7129 3.9101 31.6406
1.0960 1.5766 16.1158
2.8576 4.8159 24.0513
3.1082 4.6411 21.7133
1.0477 -0.5951 3.5057
3.1586 3.2321 6.2595
-0.2257 -1.1695 26.3624
1.1981 1.5168 31.4757
1.3823 0.9992 27.9134
2.1360 1.0753 13.1282
4.1743 4.2858 9.1887
3.3067 1.7940 2.3438
3.8143 3.0998 14.7908
1.8279 -1.5766 0.0645
4.0759 3.4962 19.4162
3.7138 1.9808 9.2174
4.3386 3.3259 17.0819
2.1142 -0.9992 11.8621
4.9961 3.3076 3.1674
1.4041 -1.0753 29.1796
3.6636 0.9191 5.8459
2.5059 0.3463 24.9515
3.3034 1.3811 21.6368
1.9300 -1.5168 15.4243
3.4462 2.2648 31.9277
3.2377 -0.3463 8.9002
5.3461 2.4295 6.6930
4.2875 2.2351 27.9717
3.6871 0.0425 15.9831
2.9552 -0.0425 32.0344
2.5749 -1.7940 18.3952
2.9317 -0.9191 21.8972
3.3998 0.1110 28.9128
4.1317 -0.1110 12.8614
2.4077 -3.4560 9.6296
5.5002 0.9932 2.7673
4.0353 -1.3811 5.5854
2.9819 -1.9808 25.2688
2.4267 -3.2321 22.3109
2.1286 -4.2207 18.5780
2.4447 -3.9101 15.5893
5.4562 0.3362 9.4531
4.7244 -0.3362 25.5044
5.7946 0.0062 6.5057
5.0627 -0.0062 22.5571
4.7683 -0.9931 18.8187
4.1781 -2.2648 15.8763
3.0825 -3.0998 30.8422
2.0823 -5.4775 29.2214
3.5895 -4.8159 7.9999
3.8400 -4.6411 5.6620
5.0194 -2.2351 11.9203
4.8078 -3.4962 3.3649
5.0705 -3.3259 1.0305
4.2642 -3.3076 19.2188
4.6142 -2.4295 22.7444
3.4424 -4.2858 25.2401

=====

Entry 4:
TmFe6Sn6 (PBE, optimized geometry); energy of formation from the pure elements = -105 meV per atom; E = -80.72 eV for the cell shown; total magnetization = 12.7 μB/f.u.
1.0
5.4120 0.0000 0.0000
-2.7060 4.6869 0.0000
0.0000 0.0000 8.9162
Tm Fe Sn
1 6 6
Cartesian
0.0000 0.0000 0.0000
-1.3530 2.3435 2.1900
-1.3530 2.3435 6.7262
2.7060 0.0000 2.1900
2.7060 0.0000 6.7262
1.3530 2.3435 2.1900
1.3530 2.3435 6.7262
0.0000 0.0000 3.0008
0.0000 0.0000 5.9154
0.0000 3.1246 0.0000
0.0000 3.1246 4.4581
2.7060 1.5623 0.0000
2.7060 1.5623 4.4581